(1)
# PBE Ho3Sb, optimized geometry
data_Ho3Sb
_space_group_name_H-M_alt 'I 4/m m m'
_space_group_IT_number 139
_space_group_name_Hall '-I 4 2'
_cell_length_a 4.615
_cell_length_b 4.615
_cell_length_c 10.415
_cell_angle_alpha 90.00
_cell_angle_beta 90.00
_cell_angle_gamma 90.00
loop_
_atom_site_label
_atom_site_type_symbol
_atom_site_fract_x
_atom_site_fract_y
_atom_site_fract_z
_atom_site_occupancy
Ho1 Ho 0.000 0.000 0.000 1
Ho2 Ho 0.000 0.500 0.250 1
Sb1 Sb 0.000 0.000 0.500 1
# Energy of formation from the pure elements (kJ per mole of atoms): -48.9
# Magnetization (Bohr magnetons per cell): 0.00
# Energy with MP2020 corrections (eV/atom): -4.976

***

(2)
# PBE Na3Sr3GaAs4, optimized geometry
data_Na3Sr3GaAs4
_space_group_name_H-M_alt 'P 63 m c'
_space_group_IT_number 186
_space_group_name_Hall 'P 6c -2c'
_cell_length_a 9.6922
_cell_length_b 9.6922
_cell_length_c 7.6014
_cell_angle_alpha 90.00
_cell_angle_beta 90.00
_cell_angle_gamma 120.00
loop_
_atom_site_label
_atom_site_type_symbol
_atom_site_fract_x
_atom_site_fract_y
_atom_site_fract_z
_atom_site_occupancy
Na1 Na 0.1364 0.2729 0.0000 1
Sr1 Sr 0.0442 0.5221 0.3291 1
Ga1 Ga 0.3333 0.6667 0.7036 1
As1 As 0.1889 0.3777 0.6083 1
As2 As 0.3333 0.6667 0.0481 1
# Energy of formation from the pure elements (kJ per mole of atoms): -79.4
# Magnetization (Bohr magnetons per cell): 0.00
# Piezoelectric modulus e_max (C/m2): 0.52